Record 1
A relaxed structure of Na14Sc4In4Si7S5O48. Source: the Materials Project database, functional GGA-PBE.

Structure (extended XYZ):
```
246
Lattice="-9.077 -15.953 -1.404 8.070 1.097 -4.271 10.862 -7.977 18.396" Properties=species:S:1:pos:R:3 pbc="T T T"
Na 3.274 -13.812 -0.885
Na 4.044 -4.624 2.870
Na -0.522 -12.615 2.146
Na -1.221 -17.165 0.319
Na 3.331 -9.231 1.033
Na 10.455 -10.262 10.686
Na 1.903 -21.522 10.846
Na 6.439 -13.586 11.543
Na 6.599 -8.987 13.659
Na 2.058 -17.036 12.954
Na 7.727 -6.573 9.106
Na 3.198 -14.572 8.403
Na 11.103 -8.956 6.049
Na 6.592 -16.956 5.395
Na 7.309 -1.893 -2.709
Na 2.735 -10.017 -3.437
Na 3.498 -5.287 -1.933
Na -0.982 -13.230 -2.736
Na 11.115 -14.402 13.391
Na 6.595 -22.290 12.726
Na 6.963 -12.750 16.246
Na 2.495 -20.751 15.636
Na 10.744 -9.630 15.258
Na 6.237 -17.705 14.508
Na 2.484 -10.779 5.817
Na -2.053 -18.756 5.122
Na 3.204 -5.933 7.082
Na -1.302 -13.894 6.387
Na 6.726 -8.017 4.218
Na 2.203 -16.000 3.521
Na -3.570 -19.883 7.696
Na 0.963 -11.912 8.387
Na -1.019 -14.770 -5.564
Na 14.280 -14.877 13.453
Na 8.724 -11.478 13.525
Na 4.258 -19.433 12.776
Na 3.204 -7.447 4.240
Na -1.260 -15.419 3.501
Na 5.797 -3.265 0.004
Na 1.199 -11.197 -0.815
Na 11.095 -7.175 9.292
Na 6.537 -15.309 8.607
Sc 11.832 -1.703 2.139
Sc 7.307 -9.651 1.441
Sc 8.235 -21.612 9.962
Sc 4.724 -14.791 14.909
Sc 7.047 -10.488 10.752
Sc -2.917 -14.419 0.758
Sc 10.398 -12.779 16.106
Sc 5.795 -20.821 15.529
Sc 4.817 -8.813 6.984
Sc 0.262 -16.778 6.285
Sc 2.755 -12.572 1.969
Sc 12.732 -8.580 11.903
In -1.840 -21.116 10.565
In 2.697 -13.142 11.241
In 0.524 -15.957 -2.862
In 5.051 -8.099 -2.098
In 2.567 -18.444 10.032
In 1.700 -6.459 1.518
In 4.089 -1.978 -2.822
In -0.346 -10.092 -3.551
In 9.384 -5.989 6.419
In 4.847 -13.969 5.726
In 7.330 -4.652 2.580
In 8.122 -16.666 11.175
Si 9.423 -3.241 0.101
Si 4.900 -11.270 -0.561
Si 5.197 -6.823 1.094
Si 0.659 -14.827 0.448
Si 9.206 -8.040 12.300
Si 4.678 -16.014 11.583
Si 13.017 -10.494 9.049
Si 8.474 -18.451 8.322
Si 4.693 -11.982 8.592
Si 0.156 -19.957 7.890
Si 1.571 -7.660 -1.821
Si -2.991 -15.668 -2.518
Si -6.340 -13.982 0.187
Si 12.501 -11.613 13.594
Si 7.921 -19.630 12.937
Si 16.236 -8.899 12.489
Si 11.688 -16.852 11.769
Si 9.487 -7.330 3.181
Si 4.911 -15.284 2.447
Si 5.968 -5.569 5.860
Si 1.433 -13.546 5.171
S -3.983 -17.631 1.953
S 0.544 -9.661 2.660
S 13.864 -5.216 10.772
S 9.316 -13.161 10.058
S 4.970 -7.578 10.319
S 0.406 -15.528 9.613
S 8.357 -9.331 7.592
S 3.811 -17.292 6.865
S -1.798 -5.967 0.864
S 1.912 -3.261 -0.174
S -2.624 -11.225 -0.830
S 12.762 -7.208 15.208
S 8.250 -15.191 14.536
S 9.735 -2.888 4.783
S 5.194 -10.873 4.077
O 2.652 -4.091 5.364
O -1.883 -12.050 4.685
O 6.042 -8.110 1.677
O 1.469 -16.135 1.034
O 0.408 -10.024 4.098
O -4.119 -17.961 3.408
O 9.205 -7.925 13.930
O 4.687 -15.866 13.221
O 10.639 -13.275 10.730
O 6.107 -21.342 10.018
O 5.274 -12.974 14.114
O 0.674 -20.939 13.420
O 11.665 -10.613 8.119
O 7.198 -18.560 7.296
O 8.402 -6.800 11.579
O 3.872 -14.761 10.864
O 13.998 -4.919 9.321
O 9.469 -12.853 8.614
O 5.087 -6.808 -0.536
O 0.684 -14.798 -1.178
O 3.775 -1.596 2.705
O -0.774 -9.556 1.995
O 9.083 -1.922 -0.812
O 4.491 -9.958 -1.456
O 5.875 -11.674 9.688
O 1.372 -19.741 8.955
O 5.742 -8.742 10.855
O 1.145 -16.681 10.183
O 8.187 -9.679 9.028
O 3.647 -17.589 8.304
O 1.760 -7.577 -0.199
O -2.769 -15.520 -0.902
O -0.473 -6.061 1.516
O -4.861 -14.084 0.902
O 2.239 -4.477 0.619
O -2.339 -12.450 -0.025
O 0.754 -3.530 -1.089
O -3.778 -11.463 -1.750
O 0.775 -6.327 -2.387
O -3.797 -14.375 -3.124
O -1.669 -5.540 -0.555
O -6.199 -13.481 -1.368
O 4.893 -7.676 8.830
O 0.349 -15.637 8.119
O 7.045 -9.096 6.944
O 2.496 -17.062 6.212
O 4.397 -10.605 7.747
O -0.148 -18.573 7.049
O 13.770 -11.380 14.611
O 9.221 -19.414 13.918
O 13.433 -8.391 15.792
O 8.940 -16.371 15.076
O 16.141 -9.168 14.098
O 11.559 -17.038 13.388
O 9.591 -7.307 4.832
O 5.030 -15.231 4.090
O 7.388 -5.615 6.687
O 2.849 -13.595 6.004
O 10.088 -4.121 5.533
O 5.552 -12.097 4.831
O 8.561 -3.076 3.913
O 4.031 -11.090 3.195
O 8.906 -5.933 2.607
O 4.178 -13.945 1.864
O 6.172 -5.245 4.269
O 1.682 -13.196 3.595
O 12.686 -7.307 13.728
O 8.177 -15.186 13.056
O 14.743 -8.790 11.809
O 10.223 -16.708 11.040
O 12.126 -10.234 12.782
O 7.455 -18.226 12.261
O 10.981 -2.530 4.050
O 6.434 -10.501 3.341
O 8.677 -8.718 2.842
O 4.141 -16.694 2.112
O 5.128 -4.418 6.691
O 0.589 -12.390 5.989
O 11.410 -7.193 15.839
O 6.897 -15.169 15.180
O 17.110 -7.511 12.382
O 12.581 -15.454 11.688
O 12.941 -12.847 12.607
O 8.393 -20.832 11.899
O 3.214 -12.272 9.346
O -1.327 -20.267 8.630
O 5.644 -6.290 10.605
O 1.088 -14.231 9.884
O 9.074 -10.384 6.817
O 4.521 -18.359 6.104
O 3.039 -7.557 -2.644
O -1.548 -15.622 -3.345
O -2.575 -7.237 0.890
O -7.249 -15.348 0.195
O 1.488 -2.135 0.674
O -3.048 -10.086 0.041
O 6.334 -11.231 12.486
O 1.859 -19.310 11.825
O 8.470 -9.481 11.932
O 3.869 -17.421 11.318
O 8.611 -12.048 10.789
O 4.063 -20.128 10.131
O 3.741 -6.980 1.881
O -0.825 -14.861 1.155
O 1.341 -8.411 2.623
O -3.226 -16.341 1.925
O 1.850 -5.600 3.427
O -2.712 -13.646 2.786
O 11.087 -11.988 14.374
O 6.535 -20.073 13.705
O 8.931 -13.898 14.902
O 4.382 -21.885 14.100
O 8.927 -11.241 15.970
O 4.403 -19.162 15.251
O 2.893 -8.465 6.698
O -1.674 -16.371 5.975
O 5.185 -7.030 5.932
O 0.646 -15.004 5.217
O 4.834 -9.737 4.982
O 0.317 -17.706 4.297
O 3.147 -2.963 -0.946
O -1.388 -10.914 -1.571
O 5.411 -1.214 -1.388
O 0.881 -9.109 -2.119
O 5.529 -3.832 -2.608
O 0.974 -11.731 -3.152
O 11.694 -6.560 6.672
O 7.119 -14.482 5.942
O 9.186 -8.073 7.589
O 4.648 -16.037 6.834
O 9.653 -5.346 8.409
O 5.126 -13.317 7.724
O 8.043 -3.451 0.983
O 3.527 -11.571 0.302
O 5.749 -5.310 1.410
O 1.382 -13.377 0.781
O 5.878 -2.714 2.641
O 1.305 -10.726 1.937
O 10.710 -7.959 11.627
O 6.180 -15.814 10.944
O 13.075 -6.490 10.854
O 8.514 -14.391 10.169
O 12.620 -9.192 9.970
O 8.122 -17.065 9.123
```

Calculated values
ΔE_f ... -2584 meV per atom
Spin magnetization ... 0.00 μB per formula unit


Record 2
A relaxed structure of Na2Sc2In2SiS5O24. Source: the Materials Project database, functional GGA-PBE.

Structure (extended XYZ):
```
108
Lattice="-5.922 -3.955 -5.280 6.710 -4.679 3.368 -13.036 -5.415 18.742" Properties=species:S:1:pos:R:3 pbc="T T T"
Na -5.874 -11.250 7.616
Na -6.305 -10.081 22.063
Na -12.510 -8.605 12.971
Na -6.060 -5.889 3.936
Na 0.331 -5.424 3.795
Na -6.302 -8.246 12.798
Sc -16.850 -8.496 10.670
Sc 4.647 -5.522 6.144
Sc -4.172 -5.131 1.149
Sc -14.525 -9.510 15.991
Sc 2.268 -4.546 0.838
Sc -1.519 -6.186 6.405
In -4.613 -1.941 6.512
In -7.629 -11.979 10.298
In -10.630 -7.892 10.427
In -8.000 -6.853 6.733
In -4.377 -7.309 10.164
In -8.107 -8.910 15.688
Si 1.682 -7.195 6.489
Si -13.875 -6.863 10.379
Si -7.350 -8.744 9.514
S -2.694 -7.440 3.321
S -1.276 -2.726 5.655
S -9.558 -6.561 13.527
S -5.073 -7.387 16.482
S -11.063 -8.532 6.917
S -9.528 -4.755 9.111
S -2.556 -7.156 -1.412
S -4.759 -3.274 -1.844
S -1.042 -3.493 0.690
S -11.245 -10.575 16.162
S -9.706 -6.902 18.253
S -7.494 -10.794 18.724
S -2.665 -9.276 7.689
S -4.875 -5.288 7.272
S -1.220 -5.516 9.834
O -5.059 -2.717 4.716
O -3.469 -8.470 4.036
O -8.365 -6.320 1.206
O -10.428 -6.001 14.617
O -10.976 -12.030 12.537
O -15.189 -7.711 10.962
O -7.119 -11.470 12.155
O -8.884 -5.515 12.758
O -3.888 -7.703 15.680
O -1.769 -8.021 2.310
O -1.334 -2.110 4.303
O 2.955 -6.286 5.971
O -11.141 -8.544 8.383
O -10.329 -5.824 9.731
O -8.711 -8.423 10.341
O -3.449 -6.634 -0.374
O -4.730 -3.841 -0.483
O -2.175 -4.297 1.182
O -1.030 -3.454 -0.794
O -1.850 -6.051 -2.117
O -3.483 -3.570 -2.553
O -8.649 -5.228 7.997
O -7.192 -8.154 7.990
O -9.966 -7.660 6.387
O -11.228 -10.595 17.653
O -10.400 -8.032 18.943
O -8.793 -10.487 19.402
O -3.555 -8.777 8.745
O -4.916 -5.906 8.605
O -2.376 -6.284 10.324
O -1.135 -5.570 8.341
O -1.958 -8.165 6.989
O -3.584 -5.556 6.585
O -8.780 -7.405 17.223
O -7.488 -10.270 17.354
O -10.161 -9.732 15.630
O 0.008 -6.119 10.440
O -3.513 -10.024 6.714
O -5.064 -3.825 7.508
O -10.753 -6.017 17.687
O -6.402 -10.245 19.555
O -11.173 -11.976 15.688
O -6.382 -4.059 11.580
O -8.633 -4.112 10.093
O -7.110 -10.336 9.220
O -1.509 -8.054 -0.843
O -5.869 -3.824 -2.649
O -1.103 -2.093 1.184
O -12.573 -7.618 11.005
O -10.448 -7.379 12.681
O -11.138 -9.901 11.473
O -3.670 -6.537 2.657
O -5.995 -6.191 1.095
O -4.917 -4.029 2.487
O -12.523 -9.967 15.689
O -14.818 -10.099 13.976
O -14.065 -7.603 15.260
O -8.334 -5.502 4.896
O -5.966 -5.807 6.394
O -7.227 -8.029 4.918
O 0.214 -4.130 1.190
O 2.541 -3.963 2.877
O 1.801 -6.470 1.650
O -3.787 -8.439 11.944
O -6.178 -8.149 10.516
O -4.931 -5.987 11.785
O 0.337 -6.482 5.892
O -1.871 -6.651 4.273
O -1.164 -4.196 5.483
O -8.500 -7.418 14.149
O -6.244 -7.856 15.692
O -7.249 -9.978 14.236
```

Calculated values
ΔE_f ... -2366 meV per atom
Spin magnetization ... 0.00 μB per formula unit